{
  "formula": "Ti4ZnCu3O12",
  "functional": "PBE",
  "state": "optimized geometry",
  "dft_energy_ev_per_atom": -7.244,
  "energy_mp2020_ev_per_atom": -7.6559,
  "e_form_mev_per_atom": -2430.2,
  "cell": [[-3.7154, 3.7154, 3.7154], [3.7154, -3.7154, 3.7154], [3.7154, 3.7154, -3.7154]],
  "species": ["Ti", "Ti", "Ti", "Ti", "Zn", "Cu", "Cu", "Cu", "O", "O", "O", "O", "O", "O", "O", "O", "O", "O", "O", "O"],
  "fractional_positions": [[0.0000, 0.0000, 0.5000], [0.0000, 0.5000, 0.0000], [0.5000, 0.0000, 0.0000], [0.5000, 0.5000, 0.5000], [0.0000, 0.0000, 0.0000], [0.0000, 0.5000, 0.5000], [0.5000, 0.0000, 0.5000], [0.5000, 0.5000, 0.0000], [0.1264, 0.3030, 0.8234], [0.1766, 0.4796, 0.3030], [0.1766, 0.8736, 0.6970], [0.3030, 0.1766, 0.4796], [0.3030, 0.8234, 0.1264], [0.4796, 0.3030, 0.1766], [0.5204, 0.6970, 0.8234], [0.6970, 0.1766, 0.8736], [0.6970, 0.8234, 0.5204], [0.8234, 0.1264, 0.3030], [0.8234, 0.5204, 0.6970], [0.8736, 0.6970, 0.1766]]
}